No. 1
The following is a DFT calculation (GGA+U) of crystalline LiFe3P4O15 at its relaxed geometry.

```
92
Lattice="10.812 0.000 0.000 0.000 6.442 0.000 0.000 0.366 17.452" Properties=species:S:1:pos:R:3 pbc="T T T"
Fe 8.223 0.841 15.096
Fe 5.500 5.492 13.117
Fe 2.787 3.958 2.769
Fe 0.090 2.296 13.017
Fe 8.035 3.795 2.355
Fe 2.777 3.978 11.081
Fe 5.312 5.309 4.391
Fe 2.589 0.658 6.370
Fe 8.377 0.691 6.197
Fe 10.721 2.114 4.291
Fe 2.435 0.874 14.923
Fe 8.025 4.141 11.495
O 0.314 2.745 17.294
O 6.562 0.850 7.019
O 8.230 5.861 2.244
O 9.305 1.050 13.291
O 1.442 0.575 16.659
O 9.296 3.605 4.128
O 4.782 4.546 2.402
O 1.166 0.606 7.899
O 7.903 2.747 6.108
O 8.581 5.272 15.224
O 9.628 3.849 1.153
O 1.349 3.906 1.470
O 9.370 0.392 7.933
O 6.944 0.561 13.366
O 6.925 4.067 4.161
O 1.299 3.646 4.551
O 1.516 3.787 12.854
O 0.385 1.939 14.955
O 8.144 2.800 15.209
O 6.691 0.643 16.284
O 6.564 0.315 3.972
O 3.123 2.070 11.057
O 8.312 6.117 11.394
O 7.689 1.887 2.331
O 1.184 4.032 9.879
O 3.868 0.378 4.640
O 9.462 4.089 10.196
O 3.887 4.249 12.886
O 5.922 5.773 8.857
O 4.248 0.498 12.698
O 1.507 0.867 4.565
O 9.646 0.789 16.625
O 2.500 5.934 2.668
O 2.668 2.617 6.483
O 7.132 4.252 13.363
O 5.509 5.078 6.404
O 10.809 1.942 2.348
O 2.230 5.090 6.498
O 3.020 1.986 2.811
O 0.003 2.125 11.074
O 6.783 4.100 0.870
O 3.680 4.069 4.637
O 4.250 1.033 15.745
O 5.303 5.261 15.130
O 6.356 3.296 9.081
O 4.121 0.460 7.558
O 2.909 2.930 14.834
O 6.030 4.728 11.128
O 1.817 1.020 12.970
O 8.415 5.199 5.943
O 4.890 5.590 0.131
O 4.456 3.113 0.355
O 9.513 3.829 13.277
O 10.427 1.756 6.229
O 10.497 2.562 8.568
O 4.028 4.283 9.596
O 8.995 0.838 4.244
O 2.397 5.382 14.669
O 2.582 6.044 10.970
O 7.792 2.169 11.537
P 2.738 0.694 3.564
P 5.258 4.231 0.947
P 2.448 3.856 5.611
P 5.312 6.437 16.127
P 8.153 3.921 5.160
P 0.119 3.038 1.283
P 2.659 4.103 13.886
P 0.202 1.435 16.409
P 5.500 6.255 7.401
P 10.610 1.253 7.683
P 8.074 0.876 12.290
P 8.364 4.039 14.337
P 5.554 4.414 9.673
P 7.855 0.602 3.149
P 10.693 3.221 10.009
P 2.957 0.785 11.875
Li 6.414 2.768 7.322
Li 4.398 2.951 16.048
Li 8.707 5.348 0.112
Li 2.105 5.530 8.838
```

Properties
Calculated total energy: -643.74 eV/cell
Energy of formation from the pure elements: -2.383 eV/atom

No. 2
The following is a DFT calculation (GGA+U) of crystalline LiFePO4 at its relaxed geometry.

```
28
Lattice="2.938 2.988 2.834 -0.900 -5.157 6.372 7.308 -4.624 -2.704" Properties=species:S:1:pos:R:3 pbc="T T T"
O 4.737 -5.972 3.767
O 4.689 -0.739 2.813
O 0.108 -4.552 6.237
O 5.258 -4.939 6.038
O 0.350 -2.879 4.439
O 3.769 -2.179 0.156
O 6.893 -2.394 1.435
O 3.331 -3.724 2.031
O 8.677 -4.240 1.753
O 7.161 -5.424 4.355
O 8.775 -2.709 -0.180
O 5.559 -3.532 4.033
O 1.989 -4.872 4.620
O 2.538 -2.240 6.624
O 1.722 -1.840 1.700
O 6.886 -4.473 -0.046
Li 8.734 -4.306 3.701
Li 3.265 -5.478 6.091
Li 1.554 -1.531 3.707
Li 7.020 -0.361 1.317
Fe 2.877 -5.527 2.967
Fe 5.079 -2.680 2.195
Fe 7.834 -7.286 4.193
Fe 0.119 -0.921 0.967
P 5.667 -5.024 4.537
P 2.600 -2.866 0.925
P 7.758 -3.487 0.742
P 0.507 -4.405 4.717
```

Properties
Relative energy among the computed polymorphs: 0.060 eV per atom
Calculated total energy: -190.08 eV/cell
Energy of formation from the pure elements: -2.420 eV/atom

No. 3
The following is a DFT calculation (GGA+U) of crystalline LiFePO4 at its relaxed geometry.

```
112
Lattice="4.985 8.857 0.000 -4.985 8.857 0.000 0.000 2.422 16.464" Properties=species:S:1:pos:R:3 pbc="T T T"
O 3.653 9.753 10.156
O 0.223 8.948 11.153
O 1.542 8.818 4.429
O -0.223 7.737 2.921
O 1.710 9.061 1.947
O 1.496 12.036 5.970
O 0.896 14.802 0.254
O 0.942 6.651 15.584
O -2.183 9.736 15.759
O 1.631 11.609 8.449
O -3.653 8.542 1.924
O -0.920 15.285 3.008
O 3.464 13.310 14.284
O -0.805 4.645 1.924
O -1.631 10.398 0.217
O -0.308 12.951 7.536
O 0.157 11.475 11.466
O 1.127 14.186 10.186
O -3.105 6.734 7.049
O -3.359 10.813 3.037
O -2.646 5.812 3.271
O 0.935 5.523 12.628
O 0.998 8.854 14.247
O -1.127 12.975 1.954
O -0.612 2.293 7.018
O 4.418 9.589 3.301
O 1.220 6.471 0.281
O 0.308 14.162 15.768
O -0.935 4.312 4.396
O -3.759 12.100 8.536
O 0.612 3.504 15.250
O -3.486 8.629 4.404
O 0.951 17.673 14.253
O -0.951 16.462 6.021
O 1.903 5.137 3.273
O 2.183 8.525 7.527
O -0.896 16.013 8.486
O -1.542 10.029 12.661
O 0.182 11.676 15.255
O 0.920 16.496 11.240
O -0.998 7.644 6.015
O -1.903 6.347 11.505
O 3.759 10.889 0.304
O 3.486 9.840 12.636
O -0.942 5.440 7.352
O 1.005 14.355 12.670
O -1.710 10.272 10.179
O 2.251 12.156 2.890
O -2.251 13.366 11.122
O 3.426 11.092 15.587
O -2.305 7.252 15.242
O -1.005 13.144 4.438
O -0.157 10.264 3.234
O -3.426 9.881 7.355
O 2.646 7.023 11.503
O 3.359 12.024 11.269
O -4.418 10.799 11.533
O -0.182 10.466 7.023
O -1.220 7.682 8.512
O 0.805 5.856 10.156
O 3.105 7.945 15.281
O -3.464 12.099 6.053
O -1.496 13.247 14.202
O 2.305 6.041 7.010
P -0.651 12.971 15.481
P -1.801 4.518 3.115
P 1.541 15.079 11.396
P -4.017 9.410 3.165
P 1.801 5.729 11.347
P -1.541 13.868 3.164
P 0.694 8.972 3.127
P 1.563 8.067 15.470
P 3.140 7.329 7.262
P 4.017 10.620 11.396
P 4.061 12.502 15.471
P 0.651 11.761 7.250
P -1.563 6.856 7.238
P -3.140 8.539 15.494
P -0.694 10.183 11.359
P -4.061 11.291 7.239
Li -1.595 3.870 6.208
Li -0.665 10.023 14.458
Li 3.105 10.496 2.098
Li -0.593 7.282 10.323
Li 0.593 6.071 2.091
Li 1.595 5.081 14.440
Li 0.665 8.813 6.226
Li -4.085 8.325 6.252
Li 1.820 14.468 14.474
Li -3.105 11.707 10.330
Li -1.820 13.257 6.242
Li 1.602 12.225 10.317
Li 0.890 15.441 2.108
Li -1.602 11.014 2.085
Li 4.085 9.536 14.484
Li -0.890 16.652 10.340
Fe -0.919 4.740 12.350
Fe 3.114 10.197 8.265
Fe 0.919 3.529 4.119
Fe -3.114 8.986 0.033
Fe 1.594 8.481 0.015
Fe 3.392 8.003 4.124
Fe 1.829 8.676 12.393
Fe 0.607 14.628 8.278
Fe 0.902 5.253 8.233
Fe -1.829 7.465 4.161
Fe -3.392 9.214 12.355
Fe -1.594 9.691 8.247
Fe -0.902 4.042 0.001
Fe -0.607 13.417 0.046
Fe -0.624 13.156 12.352
Fe 0.624 11.945 4.120
```

Properties
Relative energy among the computed polymorphs: 0.795 eV per atom
Calculated total energy: -678.07 eV/cell
Energy of formation from the pure elements: -1.686 eV/atom

> Among the records above, which one has the lowest calculated total energy?

number 3